Computed, not measured: crystalline Ag12Sn7H16Se22N4 at its relaxed geometry at the GGA-PBE level of DFT.

Cell lengths 28.047, 28.047, 14.155 Å; angles 79.60, 79.60, 14.14 degrees
Sites, in units of the cell vectors:
N 0.890 0.784 0.945
N 0.498 0.331 0.787
N 0.502 0.669 0.213
N 0.110 0.216 0.055
N 0.784 0.890 0.445
N 0.216 0.110 0.555
N 0.669 0.502 0.713
N 0.331 0.498 0.287
Se 0.316 0.727 0.854
Se 0.532 0.074 0.709
Se 0.992 0.199 0.159
Se 0.025 0.529 0.888
Se 0.008 0.801 0.841
Se 0.370 0.952 0.810
Se 0.926 0.468 0.791
Se 0.775 0.288 0.643
Se 0.801 0.008 0.341
Se 0.539 0.007 0.082
Se 0.219 0.883 0.430
Se 0.468 0.926 0.291
Se 0.382 0.802 0.936
Se 0.117 0.781 0.070
Se 0.684 0.273 0.146
Se 0.290 0.410 0.409
Se 0.710 0.590 0.591
Se 0.288 0.775 0.143
Se 0.590 0.710 0.091
Se 0.727 0.316 0.354
Se 0.199 0.992 0.659
Se 0.273 0.684 0.646
Se 0.529 0.025 0.388
Se 0.410 0.290 0.909
Se 0.993 0.461 0.418
Se 0.007 0.539 0.582
Se 0.461 0.993 0.918
Se 0.781 0.117 0.570
Se 0.648 0.097 0.635
Se 0.712 0.225 0.857
Se 0.471 0.975 0.612
Se 0.975 0.471 0.112
Se 0.952 0.370 0.310
Se 0.225 0.712 0.357
Se 0.048 0.630 0.690
Se 0.074 0.532 0.209
Se 0.883 0.219 0.930
Se 0.097 0.648 0.135
Se 0.198 0.618 0.564
Se 0.630 0.048 0.190
Se 0.903 0.352 0.865
Se 0.802 0.382 0.436
Se 0.352 0.903 0.365
Se 0.618 0.198 0.064
H 0.244 0.598 0.231
H 0.306 0.539 0.345
H 0.913 0.730 0.926
H 0.004 0.295 0.089
H 0.232 0.096 0.482
H 0.642 0.522 0.232
H 0.087 0.270 0.074
H 0.694 0.461 0.655
H 0.250 0.066 0.074
H 0.504 0.705 0.195
H 0.270 0.087 0.574
H 0.750 0.934 0.926
H 0.539 0.306 0.845
H 0.478 0.358 0.268
H 0.705 0.996 0.411
H 0.461 0.694 0.155
H 0.066 0.250 0.574
H 0.096 0.232 0.982
H 0.496 0.295 0.805
H 0.934 0.750 0.426
H 0.768 0.904 0.518
H 0.756 0.402 0.769
H 0.522 0.642 0.732
H 0.295 0.004 0.589
H 0.705 0.504 0.695
H 0.358 0.478 0.768
H 0.295 0.496 0.305
H 0.904 0.768 0.018
H 0.730 0.913 0.426
H 0.402 0.756 0.269
H 0.598 0.244 0.731
H 0.996 0.705 0.911
Sn 0.526 0.474 0.750
Sn 0.570 0.699 0.933
Sn 0.833 0.986 0.513
Sn 0.430 0.301 0.067
Sn 0.842 0.566 0.285
Sn 0.986 0.833 0.013
Sn 0.167 0.014 0.487
Sn 0.014 0.167 0.987
Sn 0.699 0.570 0.433
Sn 0.158 0.434 0.715
Sn 0.566 0.842 0.785
Sn 0.474 0.526 0.250
Sn 0.434 0.158 0.215
Sn 0.301 0.430 0.567
Ag 0.385 0.080 0.374
Ag 0.651 0.745 0.044
Ag 0.564 0.521 0.490
Ag 0.745 0.651 0.544
Ag 0.615 0.920 0.626
Ag 0.056 0.913 0.919
Ag 0.087 0.944 0.581
Ag 0.349 0.255 0.956
Ag 0.365 0.093 0.150
Ag 0.479 0.436 0.010
Ag 0.080 0.385 0.874
Ag 0.436 0.479 0.510
Ag 0.944 0.087 0.081
Ag 0.920 0.615 0.126
Ag 0.007 0.092 0.246
Ag 0.993 0.908 0.754
Ag 0.907 0.635 0.350
Ag 0.913 0.056 0.419
Ag 0.521 0.564 0.990
Ag 0.255 0.349 0.456
Ag 0.908 0.993 0.254
Ag 0.093 0.365 0.650
Ag 0.635 0.907 0.850
Ag 0.092 0.007 0.746

- Corrected total energy (MP2020 scheme): -4.0275 eV per atom
- Space-group type: C2/c (15)
- ΔH_f (0 K): -0.3128 eV/atom